Density functional theory data (PBE with a Hubbard U) for a geometry-optimized MnFe3Ni2P6O24 structure.

Lattice parameters (Å, degrees): 8.4676 8.4676 8.4676 60.95 60.95 60.95
Element x y z (fractional)
Mn 0.1424 0.1424 0.1424
Fe 0.8560 0.8560 0.8560
Fe 0.6445 0.6445 0.6445
Fe 0.3568 0.3568 0.3568
Ni 0.9987 0.9987 0.9987
Ni 0.5000 0.5000 0.5000
P 0.9565 0.2509 0.5408
P 0.5408 0.9565 0.2509
P 0.2509 0.5408 0.9565
P 0.7519 0.4547 0.0474
P 0.4547 0.0474 0.7519
P 0.0474 0.7519 0.4547
O 0.8893 0.6895 0.4883
O 0.6895 0.4883 0.8893
O 0.9432 0.0902 0.7397
O 0.4883 0.8893 0.6895
O 0.9952 0.1862 0.3799
O 0.7563 0.4085 0.5565
O 0.7397 0.9432 0.0902
O 0.5565 0.7563 0.4085
O 0.8189 0.6107 0.0076
O 0.4085 0.5565 0.7563
O 0.9165 0.2534 0.0597
O 0.6107 0.0076 0.8189
O 0.3799 0.9952 0.1862
O 0.0902 0.7397 0.9432
O 0.5946 0.4358 0.2468
O 0.1862 0.3799 0.9952
O 0.4358 0.2468 0.5946
O 0.2534 0.0597 0.9165
O 0.2468 0.5946 0.4358
O 0.0076 0.8189 0.6107
O 0.5023 0.1112 0.3192
O 0.0597 0.9165 0.2534
O 0.3192 0.5023 0.1112
O 0.1112 0.3192 0.5023

Magnetic moment (μB/f.u.): 23.000
Space group: R3 (146)
Energy of formation from the pure elements (eV per atom): -2.228
Uncorrected energy (eV/atom): -6.877